Arrangement 1

VASP calculation (GGA+U) on a geometry-optimized Li2Mn2Si4O11 structure.

volume: 11.77 A^3/atom

Structure (CIF):
```
data_Li2Mn2Si4O11
_cell_length_a 7.0547
_cell_length_b 7.6434
_cell_length_c 8.9526
_cell_angle_alpha 100.06
_cell_angle_beta 100.85
_cell_angle_gamma 104.11
_space_group_name_H-M_alt 'P -1'
_space_group_IT_number 2
loop_
_space_group_symop_operation_xyz
'x,y,z'
'-x,-y,-z'
loop_
_atom_site_label
_atom_site_type_symbol
_atom_site_fract_x
_atom_site_fract_y
_atom_site_fract_z
Li1 Li 0.1087 0.2826 0.1939
Li2 Li 0.3653 0.7557 0.8502
Mn1 Mn 0.1290 0.8806 0.6027
Mn2 Mn 0.3828 0.1271 0.3887
Si1 Si 0.0237 0.7251 0.2264
Si2 Si 0.2596 0.1145 0.9656
Si3 Si 0.2656 0.4706 0.6011
Si4 Si 0.4600 0.7282 0.2320
O1 O 0.0840 0.9102 0.3663
O2 O 0.1003 0.2416 0.9362
O3 O 0.1118 0.4536 0.7234
O4 O 0.1785 0.9090 0.8498
O5 O 0.1786 0.3133 0.4380
O6 O 0.2138 0.6574 0.1839
O7 O 0.3145 0.1325 0.1507
O8 O 0.3168 0.6876 0.5957
O9 O 0.4412 0.0842 0.6304
O10 O 0.4722 0.4429 0.7078
O11 O 0.4743 0.2363 0.9305
```

=====

Arrangement 2

VASP calculation (GGA+U) on a geometry-optimized Li2Mn2Si4O11 structure.

volume: 11.62 A^3/atom

Structure (CIF):
```
data_Li2Mn2Si4O11
_cell_length_a 7.0471
_cell_length_b 7.5893
_cell_length_c 8.9192
_cell_angle_alpha 99.49
_cell_angle_beta 100.98
_cell_angle_gamma 104.56
_space_group_name_H-M_alt 'P -1'
_space_group_IT_number 2
loop_
_space_group_symop_operation_xyz
'x,y,z'
'-x,-y,-z'
loop_
_atom_site_label
_atom_site_type_symbol
_atom_site_fract_x
_atom_site_fract_y
_atom_site_fract_z
Li1 Li 0.2064 0.3032 0.3903
Li2 Li 0.2477 0.3515 0.8579
Mn1 Mn 0.3757 0.1116 0.1182
Mn2 Mn 0.3818 0.1025 0.6295
Si1 Si 0.0267 0.9015 0.2323
Si2 Si 0.2219 0.7237 0.5203
Si3 Si 0.2238 0.7312 0.9579
Si4 Si 0.3886 0.5333 0.2400
O1 O 0.0404 0.7739 0.3815
O2 O 0.0496 0.7927 0.0227
O3 O 0.1516 0.6820 0.7099
O4 O 0.1880 0.0623 0.3218
O5 O 0.1894 0.0854 0.8153
O6 O 0.2587 0.5604 0.3983
O7 O 0.2604 0.5685 0.0255
O8 O 0.3784 0.3491 0.1838
O9 O 0.4063 0.3484 0.6773
O10 O 0.4070 0.8645 0.5809
O11 O 0.4124 0.8689 0.0597
```

=====

Which one is the most stable? From the structures above, arrangement 1.